Entry 1:
GGA-PBE NaHf2Ta2SiP5O24, optimized geometry; ΔH_f (0 K) = -3.178 eV per atom; symmetry = No. 1; VASP energy = -8.31 eV per atom
1.0
8.831 0.000 0.000
4.411 7.652 0.000
0.032 0.038 22.935
Na Hf Ta Si P O
3 6 6 3 15 72
direct
0.000 0.000 0.000 Na
0.000 0.001 0.504 Na
0.335 0.332 0.337 Na
0.000 0.001 0.650 Hf
0.330 0.335 0.189 Hf
0.336 0.331 0.480 Hf
0.667 0.668 0.814 Hf
0.668 0.668 0.025 Hf
0.999 0.000 0.855 Hf
0.000 0.003 0.359 Ta
0.000 0.999 0.146 Ta
0.330 0.339 0.979 Ta
0.333 0.334 0.692 Ta
0.662 0.669 0.313 Ta
0.663 0.665 0.526 Ta
0.046 0.621 0.085 Si
0.382 0.952 0.419 Si
0.665 0.383 0.419 Si
0.001 0.710 0.752 P
0.046 0.335 0.586 P
0.285 0.715 0.253 P
0.290 0.001 0.752 P
0.332 0.049 0.085 P
0.332 0.621 0.586 P
0.378 0.668 0.919 P
0.619 0.333 0.085 P
0.621 0.046 0.586 P
0.666 0.957 0.919 P
0.710 0.290 0.752 P
0.716 0.999 0.253 P
0.948 0.668 0.418 P
0.955 0.378 0.919 P
0.999 0.287 0.253 P
0.021 0.175 0.593 O
0.025 0.169 0.307 O
0.028 0.816 0.095 O
0.037 0.791 0.806 O
0.132 0.509 0.425 O
0.135 0.506 0.143 O
0.136 0.361 0.640 O
0.140 0.356 0.930 O
0.158 0.305 0.531 O
0.164 0.032 0.095 O
0.164 0.304 0.248 O
0.165 0.527 0.740 O
0.170 0.805 0.307 O
0.173 0.037 0.806 O
0.173 0.528 0.029 O
0.174 0.806 0.593 O
0.190 0.968 0.409 O
0.192 0.827 0.912 O
0.197 0.832 0.198 O
0.204 0.973 0.698 O
0.300 0.166 0.031 O
0.303 0.539 0.531 O
0.308 0.165 0.740 O
0.309 0.532 0.247 O
0.354 0.146 0.424 O
0.360 0.501 0.929 O
0.361 0.129 0.140 O
0.361 0.505 0.640 O
0.459 0.697 0.974 O
0.467 0.699 0.261 O
0.471 0.844 0.761 O
0.474 0.829 0.476 O
0.486 0.866 0.076 O
0.490 0.636 0.865 O
0.496 0.362 0.424 O
0.499 0.638 0.577 O
0.503 0.140 0.931 O
0.503 0.858 0.361 O
0.504 0.135 0.640 O
0.512 0.357 0.141 O
0.527 0.309 0.740 O
0.533 0.161 0.247 O
0.537 0.297 0.031 O
0.538 0.159 0.532 O
0.635 0.876 0.865 O
0.640 0.863 0.576 O
0.643 0.490 0.076 O
0.644 0.502 0.361 O
0.686 0.471 0.761 O
0.696 0.844 0.974 O
0.701 0.471 0.476 O
0.701 0.834 0.262 O
0.790 0.174 0.806 O
0.805 0.023 0.593 O
0.806 0.167 0.095 O
0.807 0.024 0.307 O
0.823 0.205 0.698 O
0.827 0.981 0.912 O
0.831 0.974 0.198 O
0.836 0.700 0.474 O
0.837 0.468 0.262 O
0.839 0.188 0.409 O
0.843 0.460 0.974 O
0.843 0.686 0.761 O
0.855 0.648 0.076 O
0.863 0.642 0.363 O
0.864 0.501 0.577 O
0.876 0.490 0.865 O
0.969 0.833 0.409 O
0.972 0.199 0.198 O
0.973 0.823 0.698 O
0.981 0.192 0.912 O

---

Entry 2:
GGA-PBE Na2HfTiSiP2O12, optimized geometry; ΔH_f (0 K) = -3.119 eV per atom; symmetry = No. 1; VASP energy = -7.74 eV per atom
1.0
8.872 0.000 0.000
4.416 7.711 0.000
0.017 0.022 22.463
Na Hf Ti Si P O
12 6 6 6 12 72
direct
0.000 0.000 0.000 Na
0.001 0.644 0.251 Na
0.006 0.636 0.742 Na
0.302 0.304 0.330 Na
0.333 0.337 0.660 Na
0.337 0.973 0.412 Na
0.339 0.977 0.915 Na
0.372 0.637 0.495 Na
0.658 0.325 0.079 Na
0.663 0.948 0.832 Na
0.693 0.293 0.574 Na
0.703 0.972 0.162 Na
0.005 0.631 0.893 Hf
0.006 0.635 0.102 Hf
0.327 0.968 0.763 Hf
0.659 0.306 0.933 Hf
0.665 0.311 0.721 Hf
0.675 0.302 0.226 Hf
0.004 0.641 0.595 Ti
0.331 0.964 0.268 Ti
0.337 0.974 0.557 Ti
0.338 0.973 0.060 Ti
0.666 0.294 0.431 Ti
0.992 0.641 0.394 Ti
0.050 0.972 0.161 Si
0.290 0.345 0.493 Si
0.330 0.682 0.656 Si
0.369 0.307 0.825 Si
0.671 0.005 0.328 Si
0.702 0.930 0.996 Si
0.007 0.340 0.997 P
0.047 0.261 0.657 P
0.295 0.643 0.997 P
0.332 0.253 0.165 P
0.377 0.595 0.332 P
0.612 0.690 0.163 P
0.630 0.961 0.660 P
0.668 0.596 0.828 P
0.714 0.636 0.496 P
0.958 0.016 0.830 P
0.958 0.304 0.332 P
0.999 0.928 0.494 P
0.025 0.801 0.162 O
0.028 0.805 0.441 O
0.030 0.442 0.650 O
0.031 0.428 0.942 O
0.140 0.992 0.824 O
0.141 0.142 0.326 O
0.142 0.988 0.100 O
0.144 0.145 0.603 O
0.158 0.656 0.651 O
0.161 0.182 0.713 O
0.167 0.157 0.002 O
0.167 0.939 0.499 O
0.168 0.432 0.160 O
0.170 0.957 0.219 O
0.172 0.441 0.434 O
0.178 0.668 0.942 O
0.180 0.478 0.831 O
0.196 0.609 0.336 O
0.197 0.474 0.551 O
0.208 0.615 0.053 O
0.304 0.796 0.715 O
0.304 0.810 0.002 O
0.314 0.152 0.502 O
0.318 0.168 0.223 O
0.351 0.781 0.597 O
0.359 0.138 0.110 O
0.359 0.777 0.323 O
0.361 0.127 0.823 O
0.462 0.324 0.764 O
0.466 0.475 0.277 O
0.477 0.485 0.991 O
0.481 0.335 0.487 O
0.487 0.512 0.388 O
0.489 0.000 0.324 O
0.497 0.272 0.168 O
0.497 0.277 0.882 O
0.500 0.485 0.659 O
0.503 0.994 0.607 O
0.506 0.778 0.823 O
0.506 0.780 0.107 O
0.509 0.955 0.004 O
0.529 0.803 0.219 O
0.530 0.800 0.500 O
0.548 0.942 0.718 O
0.626 0.510 0.167 O
0.638 0.144 0.383 O
0.646 0.128 0.663 O
0.651 0.507 0.884 O
0.689 0.487 0.772 O
0.692 0.120 0.993 O
0.692 0.475 0.490 O
0.700 0.090 0.268 O
0.790 0.819 0.936 O
0.795 0.672 0.158 O
0.804 0.661 0.440 O
0.808 0.799 0.652 O
0.827 0.616 0.550 O
0.827 0.624 0.831 O
0.829 0.835 0.054 O
0.837 0.109 0.487 O
0.840 0.816 0.339 O
0.841 0.110 0.776 O
0.846 0.318 0.992 O
0.849 0.333 0.274 O
0.855 0.143 0.164 O
0.861 0.284 0.385 O
0.869 0.274 0.662 O
0.877 0.118 0.888 O
0.968 0.837 0.834 O
0.971 0.842 0.550 O
0.984 0.464 0.337 O
0.986 0.451 0.053 O

---

The lowest ΔH_f (0 K) belongs to which entry?
NaHf2Ta2SiP5O24